# 1
Material: HgF3
Method: DFT, PBE
State: optimized geometry

Unit cell a=4.049 b=4.049 c=4.049 alpha=60.00 beta=60.00 gamma=60.00
Element x y z (fractional)
Hg1 0.000 0.000 0.000
F1 0.250 0.250 0.250
F2 0.750 0.750 0.750
F3 0.500 0.500 0.500

Calculated values
- Energy of formation: -1.12 eV/atom


# 2
Material: Hg3F
Method: DFT, PBE
State: optimized geometry

Unit cell a=4.421 b=4.421 c=4.421 alpha=90.00 beta=90.00 gamma=90.00
Element x y z (fractional)
Hg1 0.000 0.500 0.500
Hg2 0.500 0.000 0.500
Hg3 0.500 0.500 0.000
F1 0.000 0.000 0.000

Calculated values
- Energy of formation: -0.54 eV/atom
- Energy relative to the lowest polymorph listed for this composition: 0.008 eV per atom


# 3
Material: Hg3F
Method: DFT, PBE
State: optimized geometry

Unit cell a=5.252 b=5.252 c=5.252 alpha=129.21 beta=129.21 gamma=74.68
Element x y z (fractional)
Hg1 0.750 0.250 0.500
Hg2 0.250 0.750 0.500
Hg3 0.500 0.500 0.000
F1 0.000 0.000 0.000

Calculated values
- Energy of formation: -0.55 eV/atom
- Energy relative to the lowest polymorph listed for this composition: 0.000 eV per atom


# 4
Material: Hg3F
Method: DFT, PBE
State: optimized geometry

Unit cell a=4.967 b=4.967 c=4.967 alpha=60.00 beta=60.00 gamma=60.00
Element x y z (fractional)
Hg1 0.250 0.250 0.250
Hg2 0.750 0.750 0.750
Hg3 0.500 0.500 0.500
F1 0.000 0.000 0.000

Calculated values
- Energy of formation: -0.55 eV/atom
- Energy relative to the lowest polymorph listed for this composition: 0.002 eV per atom


# 5
Material: K2InHgF6
Method: DFT, PBE
State: optimized geometry

Unit cell a=6.538 b=6.538 c=6.538 alpha=60.00 beta=60.00 gamma=60.00
Element x y z (fractional)
K1 0.250 0.250 0.250
K2 0.750 0.750 0.750
In1 0.000 0.000 0.000
Hg1 0.500 0.500 0.500
F1 0.228 0.228 0.772
F2 0.228 0.772 0.772
F3 0.772 0.772 0.228
F4 0.228 0.772 0.228
F5 0.772 0.228 0.772
F6 0.772 0.228 0.228

Calculated values
- Energy of formation: -2.53 eV/atom


# 6
Material: K2HgIrF6
Method: DFT, PBE
State: optimized geometry

Unit cell a=6.781 b=6.781 c=6.781 alpha=60.00 beta=60.00 gamma=60.00
Element x y z (fractional)
K1 0.750 0.750 0.750
K2 0.250 0.250 0.250
Hg1 0.500 0.500 0.500
Ir1 0.000 0.000 0.000
F1 0.794 0.206 0.206
F2 0.206 0.206 0.794
F3 0.206 0.794 0.794
F4 0.206 0.794 0.206
F5 0.794 0.206 0.794
F6 0.794 0.794 0.206

Calculated values
- Energy of formation: -2.10 eV/atom